1.
Material: Lu2Mo3O12
Method: DFT, GGA+U
State: optimized geometry

Calculated values
* space group: Pbcn (60)
* crystal system: orthorhombic

CIF file:
```
data_Lu2Mo3O12
_cell_length_a 13.819
_cell_length_b 9.955
_cell_length_c 10.050
_cell_angle_alpha 90.00
_cell_angle_beta 90.00
_cell_angle_gamma 90.00
_space_group_name_H-M_alt 'P 1'
_space_group_IT_number 1
loop_
_space_group_symop_operation_xyz
'x,y,z'
loop_
_atom_site_label
_atom_site_fract_x
_atom_site_fract_y
_atom_site_fract_z
Lu1 0.119 0.249 0.033
Lu2 0.119 0.751 0.533
Lu3 0.381 0.251 0.533
Lu4 0.381 0.749 0.033
Lu5 0.619 0.251 0.967
Lu6 0.619 0.749 0.467
Lu7 0.881 0.249 0.467
Lu8 0.881 0.751 0.967
Mo1 0.000 0.026 0.750
Mo2 0.000 0.974 0.250
Mo3 0.144 0.395 0.382
Mo4 0.144 0.605 0.882
Mo5 0.356 0.105 0.882
Mo6 0.356 0.895 0.382
Mo7 0.500 0.474 0.250
Mo8 0.500 0.526 0.750
Mo9 0.644 0.105 0.618
Mo10 0.644 0.895 0.118
Mo11 0.856 0.395 0.118
Mo12 0.856 0.605 0.618
O1 0.029 0.324 0.426
O2 0.029 0.676 0.926
O3 0.062 0.130 0.868
O4 0.062 0.870 0.368
O5 0.088 0.077 0.166
O6 0.088 0.923 0.666
O7 0.142 0.426 0.907
O8 0.142 0.574 0.407
O9 0.169 0.361 0.210
O10 0.169 0.639 0.710
O11 0.236 0.322 0.487
O12 0.236 0.678 0.987
O13 0.264 0.178 0.987
O14 0.264 0.822 0.487
O15 0.331 0.139 0.710
O16 0.331 0.861 0.210
O17 0.358 0.074 0.407
O18 0.358 0.926 0.907
O19 0.412 0.423 0.666
O20 0.412 0.577 0.166
O21 0.438 0.370 0.368
O22 0.438 0.630 0.868
O23 0.471 0.176 0.926
O24 0.471 0.824 0.426
O25 0.529 0.176 0.574
O26 0.529 0.824 0.074
O27 0.562 0.370 0.132
O28 0.562 0.630 0.632
O29 0.588 0.423 0.834
O30 0.588 0.577 0.334
O31 0.642 0.074 0.093
O32 0.642 0.926 0.593
O33 0.669 0.139 0.790
O34 0.669 0.861 0.290
O35 0.736 0.178 0.513
O36 0.736 0.822 0.013
O37 0.764 0.322 0.013
O38 0.764 0.678 0.513
O39 0.831 0.361 0.290
O40 0.831 0.639 0.790
O41 0.858 0.426 0.593
O42 0.858 0.574 0.093
O43 0.912 0.077 0.334
O44 0.912 0.923 0.834
O45 0.938 0.130 0.632
O46 0.938 0.870 0.132
O47 0.971 0.324 0.074
O48 0.971 0.676 0.574
```



2.
Material: MnOF
Method: DFT, GGA+U
State: optimized geometry

Calculated values
* space group: Pmn2_1 (31)
* crystal system: orthorhombic

CIF file:
```
data_MnOF
_cell_length_a 3.082
_cell_length_b 4.803
_cell_length_c 14.194
_cell_angle_alpha 90.00
_cell_angle_beta 90.00
_cell_angle_gamma 90.00
_space_group_name_H-M_alt 'P 1'
_space_group_IT_number 1
loop_
_space_group_symop_operation_xyz
'x,y,z'
loop_
_atom_site_label
_atom_site_fract_x
_atom_site_fract_y
_atom_site_fract_z
Mn1 0.000 0.145 0.000
Mn2 0.000 0.283 0.668
Mn3 0.000 0.292 0.335
Mn4 0.500 0.708 0.835
Mn5 0.500 0.717 0.168
Mn6 0.500 0.855 0.500
O1 0.000 0.020 0.436
O2 0.000 0.555 0.234
O3 0.000 0.891 0.104
O4 0.500 0.109 0.604
O5 0.500 0.445 0.734
O6 0.500 0.980 0.936
F1 0.000 0.488 0.903
F2 0.000 0.631 0.562
F3 0.000 0.920 0.774
F4 0.500 0.080 0.274
F5 0.500 0.369 0.062
F6 0.500 0.512 0.403
```



3.
Material: Li2TiCr3O8
Method: DFT, GGA+U
State: optimized geometry

Calculated values
* E above lowest polymorph: 0 meV/atom

CIF file:
```
data_Li2TiCr3O8
_cell_length_a 5.961
_cell_length_b 10.259
_cell_length_c 5.982
_cell_angle_alpha 106.49
_cell_angle_beta 59.20
_cell_angle_gamma 90.28
_space_group_name_H-M_alt 'P 1'
_space_group_IT_number 1
loop_
_space_group_symop_operation_xyz
'x,y,z'
loop_
_atom_site_label
_atom_site_fract_x
_atom_site_fract_y
_atom_site_fract_z
Ti1 0.250 0.250 0.500
Ti2 0.750 0.750 0.500
Li1 0.433 0.687 0.126
Li2 0.568 0.313 0.874
Li3 0.932 0.187 0.126
Li4 0.068 0.813 0.874
O1 0.639 0.621 0.714
O2 0.353 0.896 0.276
O3 0.362 0.379 0.285
O4 0.864 0.880 0.728
O5 0.911 0.378 0.736
O6 0.647 0.104 0.725
O7 0.135 0.120 0.272
O8 0.853 0.396 0.276
O9 0.138 0.121 0.715
O10 0.365 0.381 0.728
O11 0.636 0.619 0.272
O12 0.147 0.604 0.724
O13 0.410 0.878 0.737
O14 0.590 0.122 0.263
O15 0.090 0.622 0.263
O16 0.861 0.879 0.286
Cr1 0.500 0.000 0.500
Cr2 0.000 0.500 0.500
Cr3 0.500 0.500 0.500
Cr4 0.500 0.000 0.000
Cr5 0.000 0.500 0.000
Cr6 0.000 0.000 0.500
```



no.,total energy (eV/atom),calculated density (g cm⁻³),energy of formation (eV/atom)
1,-7.591,3.986,-2.7027
2,-6.735,4.264,-2.3330
3,-7.480,3.868,-2.5687